VASP calculation (PBE-GGA) on a geometry-optimized ScV5Si5 structure.

Cell lengths 9.274, 9.274, 7.620 Å; angles 65.81, 65.81, 30.83 degrees
Atoms (fractional coordinates):
Sc: 0.642 0.642 0.744
Sc: 0.358 0.358 0.256
V: 0.563 0.060 0.689
V: 0.940 0.437 0.311
V: 0.437 0.940 0.311
V: 0.060 0.563 0.689
V: 0.937 0.937 0.319
V: 0.063 0.063 0.681
V: 0.565 0.565 0.190
V: 0.435 0.435 0.810
V: 0.858 0.858 0.025
V: 0.142 0.142 0.975
Si: 0.788 0.788 0.412
Si: 0.212 0.212 0.588
Si: 0.716 0.716 0.993
Si: 0.284 0.284 0.007
Si: 0.247 0.753 0.000
Si: 0.753 0.247 0.000
Si: 0.563 0.563 0.520
Si: 0.437 0.437 0.480
Si: 0.936 0.936 0.654
Si: 0.064 0.064 0.346

## Properties
Final energy   -171.22 eV/cell
E_form   -0.5797 eV/atom